[1]
A relaxed BaSrGe4O12 crystal. Source: the Materials Project database, functional PBE.

Energy of formation from the pure elements = -33.74 eV per formula unit
ρ = 5.22 g/cm³
Energy = -106.97 eV for the cell shown

a = 5.421 Å, b = 5.421 Å, c = 7.651 Å
α = 90.00°, β = 90.00°, γ = 90.00°
Element x y z (fractional)
Ge (0.500, 0.000, 0.248)
Ge (0.500, 0.000, 0.752)
Ge (0.000, 0.500, 0.752)
Ge (0.000, 0.500, 0.248)
O (0.000, 0.500, 0.500)
O (0.755, 0.245, 0.243)
O (0.500, 0.000, 0.500)
O (0.245, 0.245, 0.757)
O (0.245, 0.245, 0.243)
O (0.755, 0.245, 0.757)
O (0.000, 0.500, 0.000)
O (0.245, 0.755, 0.243)
O (0.755, 0.755, 0.757)
O (0.245, 0.755, 0.757)
O (0.500, 0.000, 0.000)
O (0.755, 0.755, 0.243)
Ba (0.500, 0.500, 0.500)
Sr (0.000, 0.000, 0.000)

[2]
A relaxed TaZn3 crystal. Source: the Materials Project database, functional PBE.

Energy of formation from the pure elements = -0.26 eV per formula unit
ρ = 10.27 g/cm³
Energy = -15.90 eV for the cell shown

a = 3.937 Å, b = 3.937 Å, c = 3.937 Å
α = 90.00°, β = 90.00°, γ = 90.00°
Element x y z (fractional)
Zn (0.000, 0.500, 0.500)
Zn (0.500, 0.000, 0.500)
Zn (0.500, 0.500, 0.000)
Ta (0.000, 0.000, 0.000)

[3]
A relaxed NaErP2S6 crystal. Source: the Materials Project database, functional PBE.

Energy of formation from the pure elements = -12.06 eV per formula unit
ρ = 3.21 g/cm³
Energy = -101.15 eV for the cell shown

a = 7.000 Å, b = 7.184 Å, c = 9.177 Å
α = 86.55°, β = 87.95°, γ = 87.72°
Element x y z (fractional)
S (0.652, 0.033, 0.249)
S (0.872, 0.524, 0.241)
S (0.701, 0.288, 0.924)
S (0.128, 0.476, 0.759)
S (0.165, 0.163, 0.050)
S (0.141, 0.181, 0.438)
S (0.835, 0.837, 0.950)
S (0.290, 0.702, 0.439)
S (0.859, 0.819, 0.562)
S (0.710, 0.298, 0.561)
S (0.299, 0.712, 0.076)
S (0.348, 0.967, 0.751)
P (0.935, 0.393, 0.435)
P (0.649, 0.038, 0.027)
P (0.351, 0.962, 0.973)
P (0.065, 0.607, 0.565)
Na (0.528, 0.603, 0.721)
Na (0.472, 0.397, 0.279)
Er (0.978, 0.118, 0.748)
Er (0.022, 0.882, 0.252)

[4]
A relaxed Na2S crystal. Source: the Materials Project database, functional PBE.

Energy of formation from the pure elements = -3.69 eV per formula unit
ρ = 1.83 g/cm³
Energy = -9.97 eV for the cell shown

a = 4.646 Å, b = 4.646 Å, c = 4.646 Å
α = 60.00°, β = 60.00°, γ = 60.00°
Element x y z (fractional)
S (0.000, 0.000, 0.000)
Na (0.250, 0.250, 0.250)
Na (0.750, 0.750, 0.750)

[5]
A relaxed Cs2O crystal. Source: the Materials Project database, functional PBE.

Energy of formation from the pure elements = -3.57 eV per formula unit
ρ = 4.05 g/cm³
Energy = -9.62 eV for the cell shown

a = 4.262 Å, b = 4.262 Å, c = 7.751 Å
α = 74.04°, β = 74.04°, γ = 60.00°
Element x y z (fractional)
O (0.000, 0.000, 0.000)
Cs (0.264, 0.264, 0.207)
Cs (0.736, 0.736, 0.793)

[6]
A relaxed Li3Sb11S18 crystal. Source: the Materials Project database, functional PBE.

Energy of formation from the pure elements = -21.94 eV per formula unit
ρ = 4.16 g/cm³
Energy = -138.49 eV for the cell shown

a = 6.896 Å, b = 7.863 Å, c = 15.440 Å
α = 75.60°, β = 80.58°, γ = 73.30°
Element x y z (fractional)
Sb (0.885, 0.124, 0.809)
Sb (0.477, 0.935, 0.383)
Sb (0.143, 0.368, 0.185)
Sb (0.527, 0.571, 0.618)
Sb (0.523, 0.054, 0.616)
Sb (0.715, 0.291, 0.066)
Sb (0.483, 0.432, 0.390)
Sb (0.143, 0.872, 0.186)
Sb (0.292, 0.210, 0.926)
Sb (0.290, 0.714, 0.924)
Sb (0.716, 0.783, 0.068)
S (0.134, 0.321, 0.778)
S (0.207, 0.775, 0.353)
S (0.448, 0.579, 0.128)
S (0.713, 0.585, 0.464)
S (0.273, 0.413, 0.535)
S (0.973, 0.508, 0.999)
S (0.794, 0.229, 0.647)
S (0.867, 0.178, 0.221)
S (0.713, 0.092, 0.464)
S (0.775, 0.731, 0.652)
S (0.211, 0.265, 0.350)
S (0.869, 0.677, 0.223)
S (0.285, 0.911, 0.536)
S (0.539, 0.430, 0.874)
S (0.991, 0.005, 0.003)
S (0.439, 0.081, 0.129)
S (0.546, 0.917, 0.881)
S (0.134, 0.830, 0.776)
Li (0.889, 0.624, 0.806)
Li (0.997, 0.739, 0.507)
Li (0.010, 0.255, 0.502)

[7]
A relaxed Ta3Co3C crystal. Source: the Materials Project database, functional PBE.

Energy of formation from the pure elements = -2.40 eV per formula unit
ρ = 13.44 g/cm³
Energy = -274.10 eV for the cell shown

a = 7.996 Å, b = 7.996 Å, c = 7.996 Å
α = 60.00°, β = 60.00°, γ = 60.00°
Element x y z (fractional)
Ta (0.198, 0.198, 0.802)
Ta (0.198, 0.802, 0.198)
Ta (0.802, 0.802, 0.198)
Ta (0.802, 0.198, 0.198)
Ta (0.198, 0.802, 0.802)
Ta (0.448, 0.448, 0.052)
Ta (0.448, 0.052, 0.052)
Ta (0.052, 0.052, 0.448)
Ta (0.052, 0.448, 0.448)
Ta (0.448, 0.052, 0.448)
Ta (0.802, 0.198, 0.802)
Ta (0.052, 0.448, 0.052)
Co (0.421, 0.421, 0.421)
Co (0.829, 0.829, 0.514)
Co (0.514, 0.829, 0.829)
Co (0.625, 0.625, 0.625)
Co (0.125, 0.625, 0.625)
Co (0.736, 0.421, 0.421)
Co (0.829, 0.514, 0.829)
Co (0.829, 0.829, 0.829)
Co (0.421, 0.421, 0.736)
Co (0.421, 0.736, 0.421)
Co (0.625, 0.625, 0.125)
Co (0.625, 0.125, 0.625)
C (0.125, 0.125, 0.125)
C (0.125, 0.625, 0.125)
C (0.125, 0.125, 0.625)
C (0.625, 0.125, 0.125)

[8]
A relaxed BaGe6 crystal. Source: the Materials Project database, functional PBE.

Energy of formation from the pure elements = -1.17 eV per formula unit
ρ = 5.73 g/cm³
Energy = -61.65 eV for the cell shown

a = 5.982 Å, b = 5.982 Å, c = 12.480 Å
α = 90.00°, β = 90.00°, γ = 132.00°
Element x y z (fractional)
Ba (0.269, 0.731, 0.750)
Ba (0.731, 0.269, 0.250)
Ge (0.249, 0.751, 0.464)
Ge (0.555, 0.445, 0.646)
Ge (0.024, 0.976, 0.101)
Ge (0.555, 0.445, 0.854)
Ge (0.249, 0.751, 0.036)
Ge (0.976, 0.024, 0.601)
Ge (0.976, 0.024, 0.899)
Ge (0.445, 0.555, 0.354)
Ge (0.445, 0.555, 0.146)
Ge (0.751, 0.249, 0.536)
Ge (0.751, 0.249, 0.964)
Ge (0.024, 0.976, 0.399)

[9]
A relaxed Sm3Co29Si4B10 crystal. Source: the Materials Project database, functional PBE.

Energy of formation from the pure elements = -18.81 eV per formula unit
ρ = 8.10 g/cm³
Energy = -655.20 eV for the cell shown

a = 11.158 Å, b = 11.158 Å, c = 7.839 Å
α = 90.00°, β = 90.00°, γ = 90.00°
Element x y z (fractional)
Co (0.890, 0.610, 0.698)
Co (0.385, 0.885, 0.749)
Co (0.500, 0.390, 0.111)
Co (0.162, 0.175, 0.663)
Co (0.500, 0.836, 0.029)
Co (0.110, 0.000, 0.111)
Co (0.338, 0.325, 0.337)
Co (0.000, 0.273, 0.474)
Co (0.115, 0.385, 0.251)
Co (0.664, 0.000, 0.029)
Co (0.838, 0.175, 0.663)
Co (0.336, 0.000, 0.029)
Co (0.610, 0.890, 0.302)
Co (0.610, 0.110, 0.302)
Co (0.110, 0.390, 0.698)
Co (0.110, 0.610, 0.698)
Co (0.500, 0.610, 0.111)
Co (0.390, 0.890, 0.302)
Co (0.175, 0.162, 0.337)
Co (0.000, 0.500, 0.468)
Co (0.838, 0.825, 0.663)
Co (0.500, 0.164, 0.029)
Co (0.825, 0.162, 0.337)
Co (0.164, 0.500, 0.971)
Co (0.500, 0.227, 0.526)
Co (0.675, 0.338, 0.663)
Co (0.000, 0.890, 0.889)
Co (0.273, 0.000, 0.526)
Co (0.325, 0.338, 0.663)
Co (0.662, 0.325, 0.337)
Co (0.836, 0.500, 0.971)
Co (0.385, 0.115, 0.749)
Co (0.615, 0.115, 0.749)
Co (0.000, 0.664, 0.971)
Co (0.610, 0.500, 0.889)
Co (0.175, 0.838, 0.337)
Co (0.825, 0.838, 0.337)
Co (0.115, 0.615, 0.251)
Co (0.500, 0.773, 0.526)
Co (0.615, 0.885, 0.749)
Co (0.325, 0.662, 0.663)
Co (0.885, 0.385, 0.251)
Co (0.500, 0.000, 0.532)
Co (0.390, 0.500, 0.889)
Co (0.662, 0.675, 0.337)
Co (0.000, 0.336, 0.971)
Co (0.338, 0.675, 0.337)
Co (0.162, 0.825, 0.663)
Co (0.773, 0.500, 0.474)
Co (0.890, 0.000, 0.111)
Co (0.000, 0.727, 0.474)
Co (0.390, 0.110, 0.302)
Co (0.675, 0.662, 0.663)
Co (0.885, 0.615, 0.251)
Co (0.890, 0.390, 0.698)
Co (0.227, 0.500, 0.474)
Co (0.727, 0.000, 0.526)
Co (0.000, 0.110, 0.889)
B (0.186, 0.686, 0.482)
B (0.000, 0.500, 0.107)
B (0.000, 0.500, 0.852)
B (0.686, 0.814, 0.518)
B (0.000, 0.244, 0.737)
B (0.814, 0.314, 0.482)
B (0.814, 0.686, 0.482)
B (0.256, 0.500, 0.737)
B (0.314, 0.814, 0.518)
B (0.756, 0.000, 0.263)
B (0.744, 0.500, 0.737)
B (0.314, 0.186, 0.518)
B (0.186, 0.314, 0.482)
B (0.000, 0.756, 0.737)
B (0.500, 0.000, 0.893)
B (0.244, 0.000, 0.263)
B (0.500, 0.256, 0.263)
B (0.686, 0.186, 0.518)
B (0.500, 0.000, 0.148)
B (0.500, 0.744, 0.263)
Sm (0.250, 0.250, 0.000)
Sm (0.750, 0.250, 0.000)
Sm (0.250, 0.750, 0.000)
Sm (0.750, 0.750, 0.000)
Sm (0.500, 0.500, 0.500)
Sm (0.000, 0.000, 0.500)
Si (0.500, 0.318, 0.824)
Si (0.000, 0.182, 0.176)
Si (0.682, 0.500, 0.176)
Si (0.182, 0.000, 0.824)
Si (0.000, 0.818, 0.176)
Si (0.318, 0.500, 0.176)
Si (0.818, 0.000, 0.824)
Si (0.500, 0.682, 0.824)

[10]
A relaxed CeSe2 crystal. Source: the Materials Project database, functional PBE.

Energy of formation from the pure elements = -5.48 eV per formula unit
ρ = 5.85 g/cm³
Energy = -104.74 eV for the cell shown

a = 5.534 Å, b = 9.173 Å, c = 11.166 Å
α = 109.39°, β = 90.30°, γ = 107.17°
Element x y z (fractional)
Ce (0.337, 0.187, 0.391)
Ce (0.334, 0.155, 0.877)
Ce (0.666, 0.845, 0.123)
Ce (0.004, 0.491, 0.750)
Ce (0.663, 0.813, 0.609)
Ce (0.996, 0.509, 0.250)
Se (0.745, 0.500, 0.000)
Se (0.816, 0.140, 0.440)
Se (0.255, 0.500, 0.000)
Se (0.925, 0.826, 0.860)
Se (0.165, 0.841, 0.226)
Se (0.477, 0.442, 0.646)
Se (0.423, 0.826, 0.859)
Se (0.835, 0.159, 0.774)
Se (0.523, 0.558, 0.354)
Se (0.184, 0.860, 0.560)
Se (0.075, 0.174, 0.140)
Se (0.577, 0.174, 0.141)

[11]
A relaxed BaNaTiNbO6 crystal. Source: the Materials Project database, functional PBE.

Energy of formation from the pure elements = -31.40 eV per formula unit
ρ = 5.08 g/cm³
Energy = -78.20 eV for the cell shown

a = 5.684 Å, b = 5.684 Å, c = 5.684 Å
α = 60.00°, β = 60.00°, γ = 60.00°
Element x y z (fractional)
Ti (0.750, 0.750, 0.750)
O (0.998, 0.502, 0.502)
O (0.502, 0.998, 0.998)
O (0.502, 0.998, 0.502)
O (0.998, 0.998, 0.502)
O (0.502, 0.502, 0.998)
O (0.998, 0.502, 0.998)
Ba (0.500, 0.500, 0.500)
Na (0.000, 0.000, 0.000)
Nb (0.250, 0.250, 0.250)

[12]
A relaxed NaPr9Si6S2O24 crystal. Source: the Materials Project database, functional PBE.

Energy of formation from the pure elements = -147.30 eV per formula unit
ρ = 5.29 g/cm³
Energy = -333.73 eV for the cell shown

a = 9.962 Å, b = 9.962 Å, c = 6.966 Å
α = 90.00°, β = 90.00°, γ = 120.00°
Element x y z (fractional)
Pr (0.918, 0.573, 0.253)
Pr (0.333, 0.667, 0.995)
Pr (0.418, 0.086, 0.749)
Pr (0.427, 0.344, 0.253)
Pr (0.000, 0.000, 0.002)
Pr (0.669, 0.582, 0.749)
Pr (0.000, 0.000, 0.498)
Pr (0.914, 0.331, 0.749)
Pr (0.656, 0.082, 0.253)
O (0.402, 0.973, 0.060)
O (0.542, 0.811, 0.243)
O (0.930, 0.697, 0.561)
O (0.407, 0.990, 0.431)
O (0.268, 0.458, 0.243)
O (0.303, 0.233, 0.561)
O (0.189, 0.732, 0.243)
O (0.338, 0.487, 0.759)
O (0.796, 0.861, 0.750)
O (0.027, 0.429, 0.060)
O (0.302, 0.228, 0.940)
O (0.149, 0.662, 0.759)
O (0.825, 0.830, 0.250)
O (0.010, 0.417, 0.431)
O (0.571, 0.598, 0.060)
O (0.583, 0.593, 0.431)
O (0.767, 0.070, 0.561)
O (0.065, 0.204, 0.750)
O (0.772, 0.074, 0.940)
O (0.139, 0.935, 0.750)
O (0.926, 0.698, 0.940)
O (0.170, 0.994, 0.250)
O (0.006, 0.175, 0.250)
O (0.513, 0.851, 0.759)
Si (0.699, 0.957, 0.752)
Si (0.258, 0.301, 0.752)
Si (0.043, 0.742, 0.752)
Si (0.078, 0.365, 0.249)
Si (0.286, 0.922, 0.249)
Si (0.635, 0.714, 0.249)
Na (0.333, 0.667, 0.507)
S (0.667, 0.333, 0.998)
S (0.667, 0.333, 0.509)

[13]
A relaxed ThMn3Al2 crystal. Source: the Materials Project database, functional PBE.

Energy of formation from the pure elements = -1.19 eV per formula unit
ρ = 7.50 g/cm³
Energy = -43.58 eV for the cell shown

a = 5.142 Å, b = 5.142 Å, c = 4.195 Å
α = 90.00°, β = 90.00°, γ = 115.87°
Element x y z (fractional)
Mn (0.847, 0.153, 0.000)
Mn (0.153, 0.847, 0.000)
Mn (0.000, 0.000, 0.500)
Al (0.000, 0.500, 0.500)
Al (0.500, 0.000, 0.500)
Th (0.500, 0.500, 0.000)

[14]
A relaxed PrRe2 crystal. Source: the Materials Project database, functional PBE.

Energy of formation from the pure elements = 0.21 eV per formula unit
ρ = 14.20 g/cm³
Energy = -117.86 eV for the cell shown

a = 5.550 Å, b = 5.550 Å, c = 9.000 Å
α = 90.00°, β = 90.00°, γ = 120.00°
Element x y z (fractional)
Pr (0.667, 0.333, 0.561)
Pr (0.667, 0.333, 0.939)
Pr (0.333, 0.667, 0.061)
Pr (0.333, 0.667, 0.439)
Re (0.000, 0.000, 0.000)
Re (0.340, 0.170, 0.250)
Re (0.170, 0.340, 0.750)
Re (0.170, 0.830, 0.750)
Re (0.830, 0.170, 0.250)
Re (0.000, 0.000, 0.500)
Re (0.660, 0.830, 0.750)
Re (0.830, 0.660, 0.250)

[15]
A relaxed InBi crystal. Source: the Materials Project database, functional PBE.

Energy of formation from the pure elements = 0.12 eV per formula unit
ρ = 8.80 g/cm³
Energy = -13.04 eV for the cell shown

a = 4.859 Å, b = 4.859 Å, c = 5.175 Å
α = 90.00°, β = 90.00°, γ = 90.00°
Element x y z (fractional)
In (0.500, 0.000, 0.495)
In (0.000, 0.500, 0.505)
Bi (0.000, 0.000, 0.000)
Bi (0.500, 0.500, 0.000)